#a
First-principles (PBE+U) data for a relaxed MgTi8Ni8O24 crystal, as listed in the Materials Project database.

Output
SG = P1, No. 1

Lattice parameters (Å, degrees): 5.5993 9.0712 9.0935 69.07 84.32 84.22
Last column: nearest neighbours and their distance in Å.
Fractional coordinates of all 41 atoms:
Mg: 0.0000 0.0000 0.0000  4 O 1.95-2.14
Ti: 0.0513 0.7416 0.7866  6 O 1.91-2.10
Ti: 0.1227 0.2472 0.2738  4 O 1.87-2.08
Ti: 0.1842 0.8831 0.4386  3 O 1.87-1.90
Ti: 0.4351 0.8351 0.8673  4 O 1.89-2.08
Ti: 0.5917 0.2473 0.7740  3 O 1.80-1.97
Ti: 0.5974 0.4849 0.0264  6 O 1.90-2.13
Ti: 0.6049 0.7487 0.2787  3 O 1.84-1.90
Ti: 0.6820 0.3945 0.4299  4 O 1.86-2.01
Ni: 0.0968 0.4930 0.5284  6 O 2.00-2.22
Ni: 0.1833 0.1611 0.6665  6 O 2.01-2.20
Ni: 0.1830 0.3921 0.9238  5 O 1.99-2.21
Ni: 0.1926 0.6394 0.1880  6 O 2.05-2.16
Ni: 0.3802 0.0525 0.0948  4 O 2.06-2.17
Ni: 0.6008 0.9970 0.5239  6 O 2.05-2.21
Ni: 0.6815 0.6415 0.6702  6 O 2.02-2.22
Ni: 0.7217 0.1462 0.1926  6 O 2.05-2.24
O: 0.0409 0.2997 0.4555  2 Ti 1.88-2.11, 1 Ni 2.07
O: 0.0472 0.6995 0.5775  2 Ti 1.88-2.07, 1 Ni 2.06
O: 0.0582 0.1862 0.0825  3 Ni 2.05-2.06, 1 Ti 2.08, 1 Mg 2.14
O: 0.0897 0.7907 0.9705  2 Ti 1.91-2.08, 1 Mg 2.02, 1 Ni 2.06
O: 0.2371 0.8343 0.2545  1 Ti 1.87
O: 0.2472 0.9276 0.6482  3 Ti 2.05-2.20, 2 Ni 2.17-2.21
O: 0.2506 0.4347 0.1360  1 Ti 1.88, 1 Ni 2.06
O: 0.2537 0.3518 0.7221  3 Ni 1.99-2.05, 1 Ti 2.05
O: 0.3813 0.0423 0.8710  1 Ti 1.89, 1 Ni 2.07
O: 0.3869 0.6159 0.8335  2 Ni 2.08-2.28, 3 Ti 2.10-2.16
O: 0.3905 0.1041 0.3295  1 Ti 1.87
O: 0.4116 0.5369 0.3783  1 Ti 1.87
O: 0.5442 0.6900 0.0687  2 Ti 1.95-2.02, 1 Ni 2.16
O: 0.5435 0.7940 0.4681  2 Ti 1.90-2.10, 1 Ni 2.03
O: 0.5503 0.2083 0.5610  1 Ti 1.86, 1 Ni 2.05
O: 0.5609 0.3007 0.9671  2 Ti 1.97
O: 0.7150 0.9403 0.1493  1 Ti 1.84, 1 Mg 1.98, 2 Ni 2.05-2.06
O: 0.7273 0.8445 0.7326  2 Ti 1.93-1.98, 2 Ni 2.05-2.16
O: 0.7317 0.4375 0.6250  2 Ti 1.95-2.00, 2 Ni 2.02-2.18
O: 0.7436 0.3589 0.2232  2 Ti 1.95-2.01, 1 Ni 2.06
O: 0.8707 0.1275 0.7982  1 Ti 1.80, 1 Mg 1.95, 1 Ni 2.01
O: 0.8734 0.6054 0.3237  1 Ti 1.86, 1 Ni 2.05
O: 0.8778 0.5426 0.8883  2 Ti 1.90-2.01, 1 Ni 2.05
O: 0.9222 0.0384 0.3887  1 Ti 1.90, 2 Ni 2.06-2.08


#b
First-principles (PBE+U) data for a relaxed MgTi8Ni8O24 crystal, as listed in the Materials Project database.

Output
SG = P1, No. 1

Lattice parameters (Å, degrees): 5.5443 9.2121 9.2795 67.66 84.26 83.13
Last column: nearest neighbours and their distance in Å.
Fractional coordinates of all 41 atoms:
Mg: 0.0000 0.0000 0.0000  4 O 1.89-2.00
Ti: 0.0158 0.5938 0.9162  5 O 1.87-2.07
Ti: 0.4250 0.9504 0.2742  3 O 1.84-1.93
Ti: 0.4754 0.5881 0.4166  4 O 1.85-2.00
Ti: 0.5047 0.1325 0.9170  4 O 1.87-2.09
Ti: 0.8634 0.9340 0.7608  6 O 1.93-2.12
Ti: 0.8928 0.4518 0.2604  4 O 1.82-2.01
Ti: 0.9898 0.3488 0.6660  3 O 1.85-2.00
Ti: 0.9974 0.0870 0.4280  4 O 1.81-2.00
Ni: 0.3902 0.1944 0.5242  6 O 2.04-2.17
Ni: 0.4018 0.7076 0.0181  6 O 2.09-2.27
Ni: 0.4048 0.4566 0.7687  6 O 2.02-2.21
Ni: 0.4678 0.8447 0.6697  5 O 1.99-2.23
Ni: 0.4903 0.3440 0.1753  6 O 2.05-2.26
Ni: 0.8854 0.6936 0.5361  5 O 2.02-2.20
Ni: 0.9274 0.2697 0.0377  3 O 1.93-2.14
Ni: 0.9886 0.7977 0.2534  3 O 1.90-2.04
O: 0.0337 0.3084 0.4782  2 Ti 1.90-2.12, 1 Ni 2.13
O: 0.0396 0.8142 0.9446  1 Ti 1.93, 1 Mg 1.95
O: 0.0408 0.4273 0.8454  1 Ti 1.87, 2 Ni 1.93-2.09
O: 0.0568 0.9085 0.3874  1 Ti 1.81, 1 Ni 1.97
O: 0.1669 0.9978 0.6280  2 Ti 1.99-2.00, 2 Ni 2.02-2.17
O: 0.1802 0.4959 0.1262  2 Ti 1.90-2.07, 1 Ni 2.05
O: 0.2004 0.5454 0.5610  1 Ti 1.90, 1 Ni 2.06
O: 0.2475 0.0765 0.0703  2 Ti 1.88-2.08, 1 Mg 1.89
O: 0.3383 0.6491 0.8258  1 Ti 1.94, 3 Ni 1.99-2.12
O: 0.3428 0.2402 0.7334  1 Ti 1.87
O: 0.3474 0.1354 0.3258  2 Ti 1.93-2.09, 2 Ni 2.09-2.15
O: 0.3556 0.7435 0.2334  1 Ti 1.88, 1 Ni 2.04
O: 0.5207 0.4051 0.3745  1 Ti 1.85, 1 Ni 2.08
O: 0.5389 0.7967 0.4666  1 Ti 1.92, 2 Ni 2.08-2.09
O: 0.5496 0.9220 0.8777  2 Ti 1.95-2.09, 1 Ni 2.12
O: 0.5600 0.3021 0.9712  1 Ti 1.88, 2 Ni 2.06-2.07
O: 0.6991 0.9813 0.1413  1 Ti 1.84, 1 Mg 2.00
O: 0.7010 0.0452 0.5638  2 Ti 1.95-1.97, 1 Ni 2.04
O: 0.7084 0.4833 0.6255  1 Ti 1.85, 1 Ni 2.02
O: 0.7165 0.5526 0.0693  2 Ti 1.96-2.05, 1 Ni 2.09
O: 0.8194 0.6130 0.3300  2 Ti 1.82-2.00, 1 Ni 1.90
O: 0.8374 0.7387 0.7347  2 Ti 1.93-1.98, 1 Ni 2.02
O: 0.8419 0.2413 0.2566  2 Ti 1.89-2.01, 1 Ni 1.96
O: 0.8561 0.1452 0.8035  1 Mg 1.98, 3 Ti 2.00-2.12


#c
First-principles (PBE+U) data for a relaxed MgTi8Ni8O24 crystal, as listed in the Materials Project database.

Output
SG = P1, No. 1

Lattice parameters (Å, degrees): 5.6261 9.0918 9.1029 68.20 83.81 83.90
Last column: nearest neighbours and their distance in Å.
Fractional coordinates of all 41 atoms:
Mg: 0.0000 0.0000 0.0000  3 O 1.97-1.99
Ti: 0.3329 0.5932 0.5859  3 O 1.87-1.91
Ti: 0.3348 0.3496 0.3390  5 O 1.94-2.13
Ti: 0.4020 0.7530 0.2324  2 O 1.76-1.94
Ti: 0.4105 0.2393 0.7429  3 O 1.84-2.00
Ti: 0.5785 0.1566 0.1362  4 O 1.85-1.94
Ti: 0.8316 0.5908 0.0928  3 O 1.85-1.95
Ti: 0.8342 0.1014 0.5694  4 O 1.88-2.09
Ti: 0.8985 0.7364 0.7287  3 O 1.86-1.89
Ni: 0.2947 0.8369 0.8195  6 O 2.01-2.22
Ni: 0.4182 0.5048 0.9780  6 O 2.05-2.16
Ni: 0.4191 0.9915 0.4866  6 O 2.03-2.24
Ni: 0.6300 0.9276 0.9140  6 O 2.08-2.32
Ni: 0.8157 0.8341 0.3443  6 O 2.00-2.19
Ni: 0.8182 0.3490 0.8273  6 O 2.02-2.19
Ni: 0.9208 0.4917 0.4878  6 O 2.05-2.20
Ni: 0.9616 0.2453 0.2332  6 O 1.99-2.19
O: 0.0939 0.9489 0.6236  1 Ti 1.88, 2 Ni 2.08-2.09
O: 0.1189 0.4603 0.1350  1 Ti 1.89, 2 Ni 2.06-2.07
O: 0.1219 0.8631 0.2055  1 Ti 1.76, 1 Mg 1.97
O: 0.1419 0.3844 0.6911  1 Ti 1.87, 1 Ni 2.07
O: 0.2589 0.6414 0.7734  2 Ti 1.91-2.14, 2 Ni 2.01-2.05
O: 0.2825 0.5454 0.3835  3 Ti 1.95-2.10, 1 Ni 2.17
O: 0.2944 0.0446 0.8567  1 Ti 1.84, 1 Mg 1.97, 1 Ni 2.04
O: 0.3030 0.1556 0.2817  2 Ti 1.93-2.05, 2 Ni 2.03
O: 0.4599 0.7827 0.4424  2 Ti 1.89-2.09, 1 Ni 2.07
O: 0.4609 0.2886 0.9402  2 Ti 1.89-2.06, 1 Ni 2.10
O: 0.4709 0.7008 0.0428  1 Ti 1.94, 1 Ni 2.13
O: 0.4716 0.2106 0.5342  3 Ti 1.94-2.17
O: 0.6061 0.4536 0.6320  1 Ti 1.87, 1 Ni 2.07
O: 0.6133 0.9495 0.1421  1 Ti 1.85
O: 0.6149 0.3815 0.1862  1 Ti 1.96, 2 Ni 2.16-2.19
O: 0.6284 0.8829 0.6790  1 Ti 1.89, 1 Ni 2.08
O: 0.7635 0.0538 0.3709  3 Ni 2.08-2.13, 2 Ti 2.09-2.30
O: 0.7679 0.6317 0.2783  1 Ti 1.85
O: 0.7734 0.5533 0.8796  1 Ti 1.87, 1 Ni 2.07
O: 0.7737 0.1455 0.7614  2 Ti 1.92-2.13, 1 Ni 2.14
O: 0.9039 0.1971 0.0445  1 Ti 1.94, 2 Ni 1.99-2.02, 1 Mg 1.99
O: 0.9540 0.7874 0.9412  1 Ti 1.95, 2 Ni 2.09-2.11
O: 0.9661 0.6874 0.5469  1 Ti 1.86, 1 Ni 2.04
O: 0.9855 0.2858 0.4434  1 Ti 1.88, 2 Ni 2.05-2.10


#d
First-principles (PBE+U) data for a relaxed MgTi8Ni8O24 crystal, as listed in the Materials Project database.

Output
SG = P1, No. 1

Lattice parameters (Å, degrees): 5.5866 9.0926 9.1287 67.80 83.60 83.85
Last column: nearest neighbours and their distance in Å.
Fractional coordinates of all 41 atoms:
Mg: 0.0000 0.0000 0.0000  6 O 2.02-2.06
Ti: 0.2085 0.1779 0.6701  4 O 1.86-2.06
Ti: 0.2128 0.6692 0.1731  4 O 1.87-2.06
Ti: 0.2893 0.5763 0.5716  5 O 1.91-2.12
Ti: 0.2898 0.3289 0.3242  4 O 1.89-2.11
Ti: 0.2941 0.8157 0.8052  4 O 1.84-1.99
Ti: 0.7185 0.1826 0.1894  4 O 1.84-2.06
Ti: 0.7815 0.3415 0.8179  4 O 1.85-2.01
Ti: 0.7918 0.8124 0.3336  4 O 1.85-2.06
Ni: 0.1941 0.4196 0.9288  6 O 2.05-2.22
Ni: 0.1989 0.9294 0.4175  6 O 2.07-2.19
Ni: 0.3467 0.0829 0.0850  6 O 2.01-2.15
Ni: 0.6556 0.9157 0.9157  6 O 1.99-2.20
Ni: 0.7038 0.6753 0.6758  6 O 2.00-2.20
Ni: 0.7047 0.4223 0.4249  6 O 2.04-2.15
Ni: 0.7949 0.0710 0.5814  6 O 2.02-2.24
Ni: 0.8036 0.5771 0.0691  6 O 2.02-2.20
O: 0.0068 0.7192 0.5208  2 Ti 1.91-2.06, 2 Ni 2.05-2.13
O: 0.0105 0.7884 0.9643  2 Ti 1.99-2.18, 1 Mg 2.06, 2 Ni 2.19
O: 0.0161 0.2757 0.4715  2 Ti 1.89-2.06, 1 Ni 2.06
O: 0.1469 0.9685 0.6320  1 Ti 1.87
O: 0.1493 0.3739 0.7119  3 Ti 1.95-2.17
O: 0.1539 0.8729 0.2091  2 Ti 1.99-2.22, 1 Mg 2.05, 2 Ni 2.15-2.19
O: 0.1560 0.4684 0.1328  2 Ti 1.91-2.06, 1 Ni 2.05
O: 0.3231 0.0363 0.8729  1 Ti 1.94, 1 Mg 2.02, 2 Ni 2.05-2.15
O: 0.3269 0.6284 0.7687  2 Ti 1.84-2.06
O: 0.3489 0.5310 0.3720  3 Ti 1.96-2.11, 1 Ni 2.14
O: 0.3685 0.1350 0.2797  2 Ti 1.95-2.06, 2 Ni 2.02-2.08
O: 0.4811 0.7142 0.0250  1 Ti 1.87, 2 Ni 2.02-2.07
O: 0.4866 0.2214 0.5327  1 Ti 1.86, 1 Ni 2.06
O: 0.5047 0.7729 0.4602  1 Ti 1.85, 1 Ni 2.07
O: 0.5222 0.2818 0.9726  1 Ti 1.88, 2 Ni 2.01-2.09
O: 0.6224 0.8752 0.7198  1 Ti 1.96, 3 Ni 1.99-2.02
O: 0.6430 0.4645 0.6309  1 Ti 1.85, 1 Ni 2.04
O: 0.6578 0.3692 0.2264  1 Ti 1.84
O: 0.6789 0.9655 0.1312  1 Ti 1.97, 1 Mg 2.03, 2 Ni 2.04-2.20
O: 0.8460 0.0288 0.3698  1 Ti 1.87
O: 0.8466 0.5162 0.8757  1 Ti 1.93, 3 Ni 2.02-2.07
O: 0.8495 0.1307 0.7917  2 Ti 2.01-2.18, 1 Mg 2.04, 2 Ni 2.19-2.24
O: 0.8533 0.6339 0.2773  1 Ti 1.87, 1 Ni 2.08
O: 0.9982 0.2088 0.0389  1 Ti 1.93, 1 Mg 2.06, 2 Ni 2.15


On energetic grounds, #d is preferred over the next structure by 0.034 eV/atom.